1.
# HgH36C14S8O12F6 | the Materials Project | PBE-GGA | relaxed
data_HgH36C14S8O12F6
_chemical_formula_sum 'Hg1 H36 C14 S8 O12 F6'
_symmetry_space_group_name_H-M 'P 1'
_symmetry_Int_Tables_number 1
_cell_length_a 7.0198
_cell_length_b 12.5395
_cell_length_c 12.5475
_cell_angle_alpha 60.05
_cell_angle_beta 90.00
_cell_angle_gamma 89.99
loop_
_symmetry_equiv_pos_as_xyz
'x,y,z'
loop_
_atom_site_label
_atom_site_fract_x
_atom_site_fract_y
_atom_site_fract_z
_atom_site_occupancy
Hg1 0.0000 0.0000 0.0000 1
H1 0.5396 0.6783 0.4053 1
H2 0.5395 0.4053 0.9166 1
H3 0.5397 0.9164 0.6782 1
H4 0.4604 0.3217 0.5947 1
H5 0.4605 0.5947 0.0834 1
H6 0.4603 0.0836 0.3218 1
H7 0.5747 0.6228 0.2987 1
H8 0.5746 0.2988 0.0784 1
H9 0.5745 0.0785 0.6229 1
H10 0.4253 0.3772 0.7013 1
H11 0.4254 0.7012 0.9216 1
H12 0.4255 0.9215 0.3771 1
H13 0.4528 0.7670 0.2504 1
H14 0.4529 0.2503 0.9826 1
H15 0.4529 0.9827 0.7670 1
H16 0.5472 0.2330 0.7496 1
H17 0.5471 0.7497 0.0174 1
H18 0.5471 0.0173 0.2330 1
H19 0.9149 0.6406 0.4553 1
H20 0.9149 0.4554 0.9041 1
H21 0.9150 0.9040 0.6405 1
H22 0.0851 0.3594 0.5447 1
H23 0.0851 0.5446 0.0959 1
H24 0.0850 0.0960 0.3595 1
H25 0.0881 0.6986 0.3327 1
H26 0.0881 0.3327 0.9686 1
H27 0.0881 0.9686 0.6987 1
H28 0.9119 0.3014 0.6673 1
H29 0.9119 0.6673 0.0314 1
H30 0.9119 0.0314 0.3013 1
H31 0.9162 0.5855 0.3463 1
H32 0.9161 0.3464 0.0680 1
H33 0.9161 0.0680 0.5857 1
H34 0.0838 0.4145 0.6537 1
H35 0.0839 0.6536 0.9320 1
H36 0.0839 0.9320 0.4143 1
C1 0.6265 0.3334 0.3333 1
C2 0.3735 0.6666 0.6667 1
C3 0.5654 0.7045 0.3090 1
C4 0.5654 0.3090 0.9865 1
C5 0.5654 0.9865 0.7045 1
C6 0.4346 0.2955 0.6910 1
C7 0.4346 0.6910 0.0135 1
C8 0.4346 0.0135 0.2955 1
C9 0.9425 0.6642 0.3599 1
C10 0.9425 0.3599 0.9759 1
C11 0.9425 0.9759 0.6642 1
C12 0.0575 0.3358 0.6401 1
C13 0.0575 0.6401 0.0241 1
C14 0.0575 0.0241 0.3358 1
S1 0.7853 0.7885 0.2633 1
S2 0.7853 0.2632 0.9482 1
S3 0.7853 0.9482 0.7885 1
S4 0.2147 0.2115 0.7367 1
S5 0.2147 0.7368 0.0518 1
S6 0.2147 0.0518 0.2115 1
S7 0.3586 0.3336 0.3333 1
S8 0.6414 0.6664 0.6667 1
O1 0.8191 0.8145 0.1310 1
O2 0.8192 0.1308 0.0545 1
O3 0.8191 0.0546 0.8146 1
O4 0.1809 0.1855 0.8690 1
O5 0.1808 0.8692 0.9455 1
O6 0.1809 0.9454 0.1854 1
O7 0.3129 0.4493 0.3288 1
O8 0.3130 0.3288 0.2221 1
O9 0.3131 0.2223 0.4491 1
O10 0.6871 0.5507 0.6712 1
O11 0.6870 0.6712 0.7779 1
O12 0.6869 0.7777 0.5509 1
F1 0.6985 0.3371 0.4325 1
F2 0.6986 0.4326 0.2305 1
F3 0.6983 0.2304 0.3370 1
F4 0.3015 0.6629 0.5675 1
F5 0.3014 0.5674 0.7695 1
F6 0.3017 0.7696 0.6630 1
# E_form = -50.65 eV per formula unit
# DFT total energy = -5.133 eV/atom
# Calculated density = 1.7 g/cm³

2.
# NaSr3TaO6 | the Materials Project | PBE-GGA | relaxed
data_NaSr3TaO6
_chemical_formula_sum 'Na2 Sr6 Ta2 O12'
_symmetry_space_group_name_H-M 'P 1'
_symmetry_Int_Tables_number 1
_cell_length_a 6.9143
_cell_length_b 6.9143
_cell_length_c 6.9143
_cell_angle_alpha 91.25
_cell_angle_beta 91.25
_cell_angle_gamma 91.25
loop_
_symmetry_equiv_pos_as_xyz
'x,y,z'
loop_
_atom_site_label
_atom_site_fract_x
_atom_site_fract_y
_atom_site_fract_z
_atom_site_occupancy
Na1 0.2500 0.2500 0.2500 1
Na2 0.7500 0.7500 0.7500 1
Sr1 0.9006 0.5994 0.2500 1
Sr2 0.2500 0.9006 0.5994 1
Sr3 0.5994 0.2500 0.9006 1
Sr4 0.0994 0.4006 0.7500 1
Sr5 0.7500 0.0994 0.4006 1
Sr6 0.4006 0.7500 0.0994 1
Ta1 0.5000 0.5000 0.5000 1
Ta2 0.0000 0.0000 0.0000 1
O1 0.4280 0.2212 0.5535 1
O2 0.5535 0.4280 0.2212 1
O3 0.2212 0.5535 0.4280 1
O4 0.0720 0.9465 0.2788 1
O5 0.2788 0.0720 0.9465 1
O6 0.9465 0.2788 0.0720 1
O7 0.5720 0.7788 0.4465 1
O8 0.4465 0.5720 0.7788 1
O9 0.7788 0.4465 0.5720 1
O10 0.9280 0.0535 0.7212 1
O11 0.0535 0.7212 0.9280 1
O12 0.7212 0.9280 0.0535 1
# E_form = -34.83 eV per formula unit
# DFT total energy = -7.150 eV/atom
# Calculated density = 5.7 g/cm³

3.
# SrCaLaBiO6 | the Materials Project | PBE-GGA | relaxed
data_SrCaLaBiO6
_chemical_formula_sum 'Sr1 Ca1 La1 Bi1 O6'
_symmetry_space_group_name_H-M 'P 1'
_symmetry_Int_Tables_number 1
_cell_length_a 6.0396
_cell_length_b 6.0396
_cell_length_c 6.0396
_cell_angle_alpha 60.00
_cell_angle_beta 60.00
_cell_angle_gamma 60.00
loop_
_symmetry_equiv_pos_as_xyz
'x,y,z'
loop_
_atom_site_label
_atom_site_fract_x
_atom_site_fract_y
_atom_site_fract_z
_atom_site_occupancy
Sr1 0.7500 0.7500 0.7500 1
Ca1 0.5000 0.5000 0.5000 1
La1 0.2500 0.2500 0.2500 1
Bi1 0.0000 0.0000 0.0000 1
O1 0.7563 0.2437 0.2437 1
O2 0.2437 0.7563 0.7563 1
O3 0.7563 0.2437 0.7563 1
O4 0.2437 0.7563 0.2437 1
O5 0.7563 0.7563 0.2437 1
O6 0.2437 0.2437 0.7563 1
# E above lowest polymorph = 0.248 eV per atom
# E_form = -25.94 eV per formula unit
# DFT total energy = -6.402 eV/atom
# Calculated density = 6.1 g/cm³

4.
# Sr14MnBi11 | the Materials Project | PBE-GGA | relaxed
data_Sr14MnBi11
_chemical_formula_sum 'Sr56 Mn4 Bi44'
_symmetry_space_group_name_H-M 'P 1'
_symmetry_Int_Tables_number 1
_cell_length_a 17.4202
_cell_length_b 17.4202
_cell_length_c 17.4202
_cell_angle_alpha 117.53
_cell_angle_beta 117.53
_cell_angle_gamma 94.33
loop_
_symmetry_equiv_pos_as_xyz
'x,y,z'
loop_
_atom_site_label
_atom_site_fract_x
_atom_site_fract_y
_atom_site_fract_z
_atom_site_occupancy
Sr1 0.5003 0.6039 0.8519 1
Sr2 0.6250 0.2297 0.1047 1
Sr3 0.1605 0.0261 0.7815 1
Sr4 0.8972 0.3758 0.8374 1
Sr5 0.1250 0.0203 0.3953 1
Sr6 0.7703 0.8750 0.3953 1
Sr7 0.1290 0.4105 0.6344 1
Sr8 0.7520 0.6483 0.1481 1
Sr9 0.7116 0.3742 0.0214 1
Sr10 0.4402 0.9616 0.8374 1
Sr11 0.3098 0.2884 0.6626 1
Sr12 0.0384 0.8758 0.4786 1
Sr13 0.4980 0.1461 0.3963 1
Sr14 0.3539 0.0020 0.6037 1
Sr15 0.1250 0.5203 0.8953 1
Sr16 0.9980 0.6017 0.3519 1
Sr17 0.9402 0.1028 0.4786 1
Sr18 0.6258 0.6472 0.3374 1
Sr19 0.8961 0.9997 0.1481 1
Sr20 0.3528 0.6902 0.9786 1
Sr21 0.1242 0.6028 0.1626 1
Sr22 0.0003 0.1483 0.8963 1
Sr23 0.6605 0.8790 0.1344 1
Sr24 0.5054 0.8710 0.2815 1
Sr25 0.8528 0.8742 0.6626 1
Sr26 0.2116 0.1902 0.3374 1
Sr27 0.0054 0.7239 0.6344 1
Sr28 0.7446 0.5261 0.8656 1
Sr29 0.2520 0.1039 0.1037 1
Sr30 0.2446 0.3790 0.2185 1
Sr31 0.3517 0.4997 0.1037 1
Sr32 0.2497 0.6461 0.6481 1
Sr33 0.7497 0.1017 0.6037 1
Sr34 0.6250 0.7297 0.6047 1
Sr35 0.8983 0.5020 0.6481 1
Sr36 0.8517 0.7480 0.8519 1
Sr37 0.6210 0.8395 0.8656 1
Sr38 0.2761 0.9105 0.2815 1
Sr39 0.8539 0.2503 0.3519 1
Sr40 0.1258 0.7884 0.9786 1
Sr41 0.7761 0.4946 0.3656 1
Sr42 0.9739 0.7554 0.1344 1
Sr43 0.1210 0.2554 0.7815 1
Sr44 0.5895 0.2239 0.7185 1
Sr45 0.6242 0.4616 0.5214 1
Sr46 0.9797 0.3750 0.1047 1
Sr47 0.5384 0.0598 0.1626 1
Sr48 0.3961 0.2480 0.8963 1
Sr49 0.3983 0.7503 0.3963 1
Sr50 0.4797 0.3750 0.6047 1
Sr51 0.0895 0.3710 0.3656 1
Sr52 0.8098 0.1472 0.0214 1
Sr53 0.2703 0.8750 0.8953 1
Sr54 0.4739 0.3395 0.2185 1
Sr55 0.3972 0.5598 0.5214 1
Sr56 0.6290 0.9946 0.7185 1
Mn1 0.2500 0.7500 0.5000 1
Mn2 0.7500 0.2500 0.5000 1
Mn3 0.0000 0.0000 0.0000 1
Mn4 0.5000 0.5000 0.0000 1
Bi1 0.8653 0.3653 0.2306 1
Bi2 0.2911 0.6989 0.1454 1
Bi3 0.8847 0.8847 0.2694 1
Bi4 0.5535 0.1457 0.8546 1
Bi5 0.9489 0.0411 0.6454 1
Bi6 0.3653 0.1347 0.5000 1
Bi7 0.4589 0.5511 0.3546 1
Bi8 0.3543 0.9465 0.1454 1
Bi9 0.0567 0.1981 0.1325 1
Bi10 0.0535 0.1989 0.4078 1
Bi11 0.5000 0.0000 0.5000 1
Bi12 0.1965 0.1043 0.6454 1
Bi13 0.8019 0.9344 0.8586 1
Bi14 0.6844 0.3258 0.6325 1
Bi15 0.4481 0.8067 0.6325 1
Bi16 0.1742 0.8156 0.3675 1
Bi17 0.5656 0.6981 0.1414 1
Bi18 0.6742 0.3067 0.3586 1
Bi19 0.0758 0.9433 0.1414 1
Bi20 0.7500 0.7500 0.0000 1
Bi21 0.5567 0.4242 0.8586 1
Bi22 0.3847 0.1153 0.0000 1
Bi23 0.0656 0.9242 0.8675 1
Bi24 0.0000 0.5000 0.5000 1
Bi25 0.3019 0.4433 0.8675 1
Bi26 0.8011 0.2089 0.8546 1
Bi27 0.2500 0.2500 0.0000 1
Bi28 0.3957 0.3035 0.3546 1
Bi29 0.3011 0.4465 0.5922 1
Bi30 0.6965 0.0511 0.0922 1
Bi31 0.7911 0.6457 0.5922 1
Bi32 0.1933 0.8258 0.6414 1
Bi33 0.9589 0.6043 0.9078 1
Bi34 0.1153 0.3847 0.0000 1
Bi35 0.9481 0.3156 0.6414 1
Bi36 0.6347 0.8653 0.5000 1
Bi37 0.6933 0.0519 0.3675 1
Bi38 0.5758 0.4344 0.1325 1
Bi39 0.8543 0.7089 0.4078 1
Bi40 0.8957 0.5411 0.0922 1
Bi41 0.4489 0.8035 0.9078 1
Bi42 0.1347 0.6347 0.7694 1
Bi43 0.6153 0.6153 0.7306 1
Bi44 0.1844 0.5519 0.3586 1
# E_form = -22.05 eV per formula unit
# DFT total energy = -3.756 eV/atom
# Calculated density = 6.2 g/cm³

5.
# NdP2 | the Materials Project | PBE-GGA | relaxed
data_NdP2
_chemical_formula_sum 'Nd4 P8'
_symmetry_space_group_name_H-M 'P 1'
_symmetry_Int_Tables_number 1
_cell_length_a 6.5840
_cell_length_b 4.0265
_cell_length_c 10.1470
_cell_angle_alpha 74.36
_cell_angle_beta 90.00
_cell_angle_gamma 90.00
loop_
_symmetry_equiv_pos_as_xyz
'x,y,z'
loop_
_atom_site_label
_atom_site_fract_x
_atom_site_fract_y
_atom_site_fract_z
_atom_site_occupancy
Nd1 0.3160 0.5811 0.6413 1
Nd2 0.6840 0.4189 0.3587 1
Nd3 0.8160 0.4189 0.8587 1
Nd4 0.1840 0.5811 0.1413 1
P1 0.1612 0.9651 0.8362 1
P2 0.8388 0.0349 0.1638 1
P3 0.6612 0.0349 0.6638 1
P4 0.3388 0.9651 0.3362 1
P5 0.8790 0.8023 0.5463 1
P6 0.1210 0.1977 0.4537 1
P7 0.3790 0.1977 0.9537 1
P8 0.6210 0.8023 0.0463 1
# E_form = -3.09 eV per formula unit
# DFT total energy = -6.229 eV/atom
# Calculated density = 5.3 g/cm³

6.
# LiB2H3O5 | the Materials Project | PBE-GGA | relaxed
data_LiB2H3O5
_chemical_formula_sum 'Li8 B16 H24 O40'
_symmetry_space_group_name_H-M 'P 1'
_symmetry_Int_Tables_number 1
_cell_length_a 8.3873
_cell_length_b 9.7815
_cell_length_c 9.9706
_cell_angle_alpha 90.00
_cell_angle_beta 90.00
_cell_angle_gamma 90.00
loop_
_symmetry_equiv_pos_as_xyz
'x,y,z'
loop_
_atom_site_label
_atom_site_fract_x
_atom_site_fract_y
_atom_site_fract_z
_atom_site_occupancy
Li1 0.5259 0.8319 0.4457 1
Li2 0.0259 0.6681 0.0543 1
Li3 0.4741 0.8319 0.0543 1
Li4 0.9741 0.6681 0.4457 1
Li5 0.4741 0.1681 0.5543 1
Li6 0.9741 0.3319 0.9457 1
Li7 0.5259 0.1681 0.9457 1
Li8 0.0259 0.3319 0.5543 1
B1 0.2500 0.7500 0.2653 1
B2 0.7500 0.7500 0.2347 1
B3 0.7500 0.2500 0.7347 1
B4 0.2500 0.2500 0.7653 1
B5 0.7251 0.5400 0.0960 1
B6 0.2251 0.9600 0.4040 1
B7 0.2749 0.5400 0.4040 1
B8 0.7749 0.9600 0.0960 1
B9 0.2749 0.4600 0.9040 1
B10 0.7749 0.0400 0.5960 1
B11 0.7251 0.4600 0.5960 1
B12 0.2251 0.0400 0.9040 1
B13 0.5000 0.6076 0.2500 1
B14 0.0000 0.8924 0.2500 1
B15 0.5000 0.3924 0.7500 1
B16 0.0000 0.1076 0.7500 1
H1 0.7087 0.4067 0.9379 1
H2 0.2087 0.0933 0.5621 1
H3 0.2913 0.4067 0.5621 1
H4 0.7913 0.0933 0.9379 1
H5 0.2913 0.5933 0.0621 1
H6 0.7913 0.9067 0.4379 1
H7 0.7087 0.5933 0.4379 1
H8 0.2087 0.9067 0.0621 1
H9 0.4059 0.2358 0.1830 1
H10 0.9059 0.2642 0.3170 1
H11 0.5941 0.2358 0.3170 1
H12 0.0941 0.2642 0.1830 1
H13 0.5941 0.7642 0.8170 1
H14 0.0941 0.7358 0.6830 1
H15 0.4059 0.7642 0.6830 1
H16 0.9059 0.7358 0.8170 1
H17 0.5015 0.3624 0.1248 1
H18 0.0015 0.1376 0.3752 1
H19 0.4985 0.3624 0.3752 1
H20 0.9985 0.1376 0.1248 1
H21 0.4985 0.6376 0.8752 1
H22 0.9985 0.8624 0.6248 1
H23 0.5015 0.6376 0.6248 1
H24 0.0015 0.8624 0.8752 1
O1 0.5272 0.7358 0.8915 1
O2 0.0272 0.7642 0.6085 1
O3 0.4728 0.7358 0.6085 1
O4 0.9728 0.7642 0.8915 1
O5 0.4728 0.2642 0.1085 1
O6 0.9728 0.2358 0.3915 1
O7 0.5272 0.2642 0.3915 1
O8 0.0272 0.2358 0.1085 1
O9 0.7878 0.4590 0.9942 1
O10 0.2878 0.0410 0.5058 1
O11 0.2122 0.4590 0.5058 1
O12 0.7122 0.0410 0.9942 1
O13 0.2122 0.5410 0.0058 1
O14 0.7122 0.9590 0.4942 1
O15 0.7878 0.5410 0.4942 1
O16 0.2878 0.9590 0.0058 1
O17 0.5748 0.5172 0.1470 1
O18 0.0748 0.9828 0.3530 1
O19 0.4252 0.5172 0.3530 1
O20 0.9252 0.9828 0.1470 1
O21 0.4252 0.4828 0.8530 1
O22 0.9252 0.0172 0.6470 1
O23 0.5748 0.4828 0.6470 1
O24 0.0748 0.0172 0.8530 1
O25 0.6230 0.6917 0.3187 1
O26 0.1230 0.8083 0.1813 1
O27 0.3770 0.6917 0.1813 1
O28 0.8770 0.8083 0.3187 1
O29 0.3770 0.3083 0.6813 1
O30 0.8770 0.1917 0.8187 1
O31 0.6230 0.3083 0.8187 1
O32 0.1230 0.1917 0.6813 1
O33 0.8208 0.6413 0.1460 1
O34 0.3208 0.8587 0.3540 1
O35 0.1792 0.6413 0.3540 1
O36 0.6792 0.8587 0.1460 1
O37 0.1792 0.3587 0.8540 1
O38 0.6792 0.1413 0.6460 1
O39 0.8208 0.3587 0.6460 1
O40 0.3208 0.1413 0.8540 1
# E_form = -23.91 eV per formula unit
# DFT total energy = -6.423 eV/atom
# Calculated density = 1.8 g/cm³

7.
# Ba4Cu3SnO9 | the Materials Project | PBE-GGA | relaxed
data_Ba4Cu3SnO9
_chemical_formula_sum 'Ba8 Cu6 Sn2 O18'
_symmetry_space_group_name_H-M 'P 1'
_symmetry_Int_Tables_number 1
_cell_length_a 8.0853
_cell_length_b 8.0853
_cell_length_c 8.0853
_cell_angle_alpha 90.00
_cell_angle_beta 90.00
_cell_angle_gamma 90.00
loop_
_symmetry_equiv_pos_as_xyz
'x,y,z'
loop_
_atom_site_label
_atom_site_fract_x
_atom_site_fract_y
_atom_site_fract_z
_atom_site_occupancy
Ba1 0.2500 0.2500 0.2500 1
Ba2 0.7500 0.7500 0.2500 1
Ba3 0.7500 0.2500 0.7500 1
Ba4 0.2500 0.7500 0.7500 1
Ba5 0.2500 0.7500 0.2500 1
Ba6 0.7500 0.2500 0.2500 1
Ba7 0.2500 0.2500 0.7500 1
Ba8 0.7500 0.7500 0.7500 1
Cu1 0.5000 0.0000 0.5000 1
Cu2 0.5000 0.0000 0.0000 1
Cu3 0.0000 0.5000 0.0000 1
Cu4 0.0000 0.0000 0.5000 1
Cu5 0.5000 0.5000 0.0000 1
Cu6 0.0000 0.5000 0.5000 1
Sn1 0.5000 0.5000 0.5000 1
Sn2 0.0000 0.0000 0.0000 1
O1 0.0000 0.5000 0.2500 1
O2 0.5000 0.5000 0.2394 1
O3 0.2394 0.5000 0.5000 1
O4 0.5000 0.7500 0.0000 1
O5 0.2500 0.0000 0.5000 1
O6 0.7500 0.0000 0.5000 1
O7 0.5000 0.2500 0.0000 1
O8 0.0000 0.0000 0.2606 1
O9 0.0000 0.0000 0.7394 1
O10 0.0000 0.2606 0.0000 1
O11 0.5000 0.7606 0.5000 1
O12 0.2606 0.0000 0.0000 1
O13 0.7394 0.0000 0.0000 1
O14 0.5000 0.2394 0.5000 1
O15 0.0000 0.5000 0.7500 1
O16 0.5000 0.5000 0.7606 1
O17 0.7606 0.5000 0.5000 1
O18 0.0000 0.7394 0.0000 1
# E_form = -36.10 eV per formula unit
# DFT total energy = -5.790 eV/atom
# Calculated density = 6.3 g/cm³

8.
# Lu2CoIr | the Materials Project | PBE-GGA | relaxed
data_Lu2CoIr
_chemical_formula_sum 'Lu2 Co1 Ir1'
_symmetry_space_group_name_H-M 'P 1'
_symmetry_Int_Tables_number 1
_cell_length_a 4.7018
_cell_length_b 4.7018
_cell_length_c 4.7018
_cell_angle_alpha 60.00
_cell_angle_beta 60.00
_cell_angle_gamma 60.00
loop_
_symmetry_equiv_pos_as_xyz
'x,y,z'
loop_
_atom_site_label
_atom_site_fract_x
_atom_site_fract_y
_atom_site_fract_z
_atom_site_occupancy
Lu1 0.2500 0.2500 0.2500 1
Lu2 0.7500 0.7500 0.7500 1
Co1 0.5000 0.5000 0.5000 1
Ir1 0.0000 0.0000 0.0000 1
# E_form = -2.64 eV per formula unit
# DFT total energy = -6.907 eV/atom
# Calculated density = 13.6 g/cm³